GGA+U MoP4C13O2, optimized geometry; energy = -6.13 eV/atom; space-group type = No. 63; energy relative to the elements = 1.760 eV/atom
1.0
4.694 8.950 -1.189
-5.837 -0.080 -8.335
-10.708 6.604 7.435
C O P Mo
26 4 8 2
Cartesian
0.351 8.837 -2.461 C
-1.735 5.812 -7.353 C
-4.992 6.501 1.706 C
-6.501 11.525 4.240 C
-11.701 8.302 4.188 C
-1.362 9.894 -1.272 C
-6.859 8.972 -3.796 C
-10.979 5.999 0.400 C
-5.350 3.949 -6.330 C
-5.273 10.332 -2.720 C
-10.489 5.580 -0.818 C
-1.197 7.069 -7.168 C
-0.872 9.474 -2.490 C
-7.063 5.006 -5.140 C
-8.599 9.359 0.845 C
-5.938 5.129 -5.928 C
-5.923 5.487 1.794 C
-6.577 5.142 0.630 C
-5.928 9.986 -3.883 C
-3.252 6.114 -2.934 C
-0.150 7.172 -6.277 C
-10.116 9.661 5.264 C
-12.202 6.636 0.372 C
-10.653 8.405 5.078 C
-4.788 10.468 3.051 C
-5.912 10.344 3.839 C
-7.807 10.047 1.375 O
-2.458 6.787 -2.388 O
-4.044 5.427 -3.464 O
-9.393 8.687 0.298 O
0.452 10.400 -1.407 P
-4.723 5.291 0.274 P
-12.303 5.073 -0.683 P
-7.128 10.183 -2.364 P
-4.637 11.646 4.519 P
-10.554 12.296 0.015 P
-7.213 3.827 -6.608 P
-1.297 3.178 -2.105 P
-2.923 3.561 -0.192 Mo
-8.928 11.913 -1.897 Mo

---

GGA+U MoP4C5S3O5, optimized geometry; energy = -6.63 eV/atom; space-group type = No. 14; energy relative to the elements = -0.651 eV/atom
1.0
35.347 0.000 0.000
0.000 6.855 0.000
0.000 1.616 12.638
O S P C Mo
40 24 32 40 8
Cartesian
6.643 3.682 2.217 O
11.030 4.490 8.536 O
22.050 5.284 8.013 O
6.278 4.685 5.067 O
15.036 0.588 4.460 O
32.710 7.076 1.860 O
10.561 6.591 4.552 O
11.396 5.493 11.386 O
27.840 7.908 9.245 O
30.472 7.461 10.998 O
25.180 7.101 2.926 O
28.235 1.072 1.767 O
22.549 6.653 4.678 O
7.427 3.660 12.326 O
10.247 2.852 6.007 O
24.317 3.981 4.102 O
13.298 3.187 4.625 O
23.951 2.978 1.252 O
28.704 4.789 10.421 O
24.786 1.880 8.086 O
10.546 2.518 2.888 O
9.301 5.208 1.315 O
26.046 3.263 11.324 O
29.070 3.786 7.571 O
24.801 5.953 9.750 O
10.167 1.371 9.712 O
7.507 0.563 3.393 O
12.798 1.818 7.960 O
26.974 2.455 5.005 O
28.220 5.145 3.431 O
4.376 3.995 10.944 O
20.311 7.884 8.179 O
27.920 4.811 0.312 O
7.127 3.326 9.208 O
2.637 1.395 10.779 O
30.971 4.476 1.694 O
4.875 1.010 1.641 O
25.100 5.619 6.631 O
7.113 7.399 10.871 O
8.373 6.016 7.634 O
19.300 5.021 5.499 S
16.613 6.539 8.005 S
21.143 6.783 11.614 S
3.880 7.248 4.883 S
1.061 5.731 1.686 S
33.720 5.829 11.818 S
3.469 2.496 7.343 S
4.520 6.327 7.944 S
21.553 0.415 1.436 S
14.708 4.642 9.847 S
13.794 8.056 11.203 S
2.965 3.834 3.528 S
1.627 2.642 0.820 S
16.047 3.450 7.140 S
34.286 2.740 10.953 S
31.467 1.223 7.755 S
22.194 2.952 11.013 S
30.827 2.144 4.694 S
18.734 1.932 4.633 S
32.382 4.637 9.111 S
20.639 3.829 2.792 S
13.153 5.519 1.625 S
31.878 5.975 5.295 S
14.204 1.688 1.024 S
19.386 7.920 11.598 P
35.036 4.638 2.824 P
17.761 5.175 4.101 P
15.222 5.300 1.442 P
34.322 5.147 8.526 P
4.882 1.093 6.601 P
0.311 3.833 9.815 P
1.026 3.324 4.112 P
2.451 6.108 7.761 P
2.676 4.362 1.484 P
20.125 3.171 11.196 P
0.087 2.488 2.219 P
17.586 3.296 8.538 P
15.678 7.567 11.954 P
1.995 6.759 5.635 P
22.556 8.186 12.356 P
17.985 5.446 9.143 P
35.260 5.983 10.420 P
12.791 0.285 0.282 P
19.669 0.904 0.684 P
32.896 2.363 4.877 P
17.362 3.025 3.495 P
33.635 7.112 5.279 P
1.712 1.359 7.359 P
30.465 7.378 6.037 P
16.648 4.132 10.431 P
15.961 0.551 1.040 P
32.671 4.109 11.154 P
18.699 4.339 2.207 P
14.997 5.170 7.803 P
33.352 1.712 7.003 P
20.350 3.301 4.835 P
11.747 4.973 7.768 C
28.747 4.809 7.131 C
13.205 4.130 5.296 C
24.274 4.001 0.812 C
6.209 7.146 11.556 C
27.391 1.472 5.462 C
22.142 4.341 7.342 C
4.468 4.938 11.615 C
24.829 6.500 10.772 C
5.926 4.165 1.449 C
22.474 0.825 5.212 C
29.138 1.325 1.082 C
10.282 1.839 10.766 C
27.955 7.440 8.191 C
25.630 2.280 11.781 C
14.308 6.854 5.150 C
4.801 6.838 1.107 C
9.718 6.191 0.857 C
26.202 5.976 6.521 C
8.529 3.303 12.437 C
28.191 5.692 4.453 C
29.421 4.306 11.189 C
23.882 2.133 7.401 C
30.547 1.633 11.531 C
11.465 6.338 5.237 C
12.873 7.646 7.427 C
26.818 5.168 0.201 C
7.956 6.999 7.176 C
21.039 1.617 7.488 C
31.981 0.809 1.169 C
30.879 3.533 1.023 C
7.392 1.031 4.447 C
7.156 2.779 8.186 C
6.600 3.662 5.507 C
25.066 6.632 1.872 C
10.518 1.971 1.867 C
3.366 7.662 11.469 C
11.073 4.470 11.826 C
9.145 2.495 6.118 C
23.600 3.498 4.870 C
4.636 5.062 0.093 Mo
22.309 2.601 6.226 Mo
13.038 5.870 6.412 Mo
28.101 6.591 6.308 Mo
30.711 3.409 12.545 Mo
10.428 1.072 0.012 Mo
7.246 1.880 6.331 Mo
24.919 7.399 12.627 Mo